## HgH4C12O3F8 (GGA-PBE)

Data for a geometry-optimized HgH4C12O3F8 structure.

Geometry as CIF:
```
data_HgH4C12O3F8
_cell_length_a 7.522
_cell_length_b 8.966
_cell_length_c 12.180
_cell_angle_alpha 84.14
_cell_angle_beta 80.45
_cell_angle_gamma 79.36
_space_group_name_H-M_alt 'P -1'
_space_group_IT_number 2
loop_
_space_group_symop_operation_xyz
'x,y,z'
'-x,-y,-z'
loop_
_atom_site_label
_atom_site_fract_x
_atom_site_fract_y
_atom_site_fract_z
Hg1 0.159 0.055 0.182
H1 0.142 0.464 0.241
H2 0.186 0.584 0.648
H3 0.388 0.339 0.330
H4 0.449 0.332 0.202
C1 0.024 0.394 0.848
C2 0.065 0.847 0.387
C3 0.074 0.748 0.978
C4 0.092 0.751 0.482
C5 0.104 0.192 0.039
C6 0.116 0.651 0.070
C7 0.204 0.918 0.326
C8 0.205 0.333 0.864
C9 0.241 0.234 0.957
C10 0.261 0.722 0.521
C11 0.372 0.889 0.365
C12 0.402 0.793 0.460
O1 0.009 0.510 0.242
O2 0.294 0.630 0.613
O3 0.341 0.344 0.259
F1 0.046 0.317 0.459
F2 0.103 0.127 0.647
F3 0.216 0.784 0.899
F4 0.293 0.594 0.081
F5 0.345 0.373 0.788
F6 0.419 0.179 0.968
F7 0.433 0.233 0.504
F8 0.488 0.044 0.692
```

Calculated values
- offset from the most stable computed form (meV per atom) = 0
- V (Å³/atom) = 14.2
- calculated formation energy (eV per atom) = -0.88
- M_tot (μB per atom) = 0.0000